No. 1
A plane-wave DFT calculation with PBE+U was carried out for Li7Mn2Co3O12 after structural relaxation.

Values from the calculation:
Energy of formation: -4372 kJ/mol of formula units

Cell: 5.073 5.119 8.732 Å, 90.36 90.75 109.28°
Space group P-1 (No. 2)
One atom of each set of equivalent atoms:
Li 0.000 0.000 0.000
Li 0.000 0.500 0.500
Li 0.005 0.499 0.162
Li 0.494 0.495 0.670
Li 0.500 0.500 0.000
Mn 0.498 0.994 0.837
Co 0.005 0.004 0.324
Co 0.500 0.000 0.500
O 0.245 0.221 0.496
O 0.250 0.217 0.824
O 0.262 0.765 0.673
O 0.266 0.230 0.170
O 0.269 0.772 0.320
O 0.281 0.774 0.000

No. 2
A plane-wave DFT calculation with PBE+U was carried out for Li7Mn2Co3O12 after structural relaxation.

Values from the calculation:
Energy of formation: -4405 kJ/mol of formula units

Cell: 5.045 5.129 8.819 Å, 106.30 90.24 99.99°
Space group P1 (No. 1)
One atom of each set of equivalent atoms:
Li 0.000 0.000 0.000
Li 0.002 0.008 0.341
Li 0.006 0.003 0.668
Li 0.251 0.498 0.585
Li 0.495 0.000 0.509
Li 0.500 0.004 0.172
Li 0.504 0.988 0.824
Mn 0.251 0.505 0.255
Mn 0.749 0.494 0.748
Co 0.249 0.502 0.908
Co 0.750 0.501 0.428
Co 0.752 0.501 0.086
O 0.113 0.724 0.442
O 0.113 0.726 0.801
O 0.121 0.723 0.129
O 0.374 0.286 0.054
O 0.387 0.282 0.368
O 0.396 0.266 0.721
O 0.604 0.733 0.288
O 0.633 0.725 0.950
O 0.645 0.727 0.633
O 0.858 0.267 0.556
O 0.871 0.272 0.876
O 0.894 0.274 0.212

No. 3
A plane-wave DFT calculation with PBE+U was carried out for Li5Mn2CoO8 after structural relaxation.

Values from the calculation:
Energy of formation: -3135 kJ/mol of formula units

Cell: 4.978 7.735 7.783 Å, 98.24 101.90 102.54°
Space group P1 (No. 1)
One atom of each set of equivalent atoms:
Li 0.000 0.000 0.000
Li 0.001 0.136 0.367
Li 0.491 0.748 0.746
Li 0.498 0.252 0.251
Li 0.500 0.501 0.002
Li 0.504 0.002 0.499
Li 0.993 0.632 0.870
Li 0.994 0.497 0.498
Li 0.997 0.867 0.630
Li 0.999 0.370 0.131
Mn 0.001 0.252 0.751
Mn 0.493 0.619 0.378
Mn 0.503 0.124 0.879
Mn 0.998 0.749 0.253
Co 0.492 0.378 0.622
Co 0.498 0.880 0.119
O 0.246 0.632 0.145
O 0.246 0.977 0.246
O 0.247 0.744 0.479
O 0.251 0.480 0.744
O 0.252 0.244 0.976
O 0.258 0.142 0.643
O 0.267 0.387 0.371
O 0.277 0.890 0.875
O 0.711 0.616 0.610
O 0.719 0.124 0.110
O 0.744 0.522 0.257
O 0.751 0.857 0.371
O 0.752 0.023 0.757
O 0.753 0.259 0.525
O 0.753 0.755 0.026
O 0.757 0.358 0.872

No. 4
A plane-wave DFT calculation with PBE+U was carried out for Li7Mn2Co3O12 after structural relaxation.

Values from the calculation:
Energy of formation: -4371 kJ/mol of formula units

Cell: 5.000 8.790 5.098 Å, 90.00 108.46 90.00°
Space group P2 (No. 3)
One atom of each set of equivalent atoms:
Li 0.000 0.000 0.000
Li 0.000 0.147 0.500
Li 0.000 0.503 0.500
Li 0.000 0.845 0.500
Li 0.500 0.323 0.500
Li 0.500 0.671 0.500
Li 0.500 0.995 0.500
Mn 0.000 0.324 0.000
Mn 0.500 0.498 0.000
Co 0.000 0.679 0.000
Co 0.500 0.164 0.000
Co 0.500 0.844 0.000
O 0.245 0.177 0.221
O 0.246 0.490 0.218
O 0.250 0.820 0.236
O 0.259 0.333 0.783
O 0.266 0.652 0.771
O 0.280 0.007 0.771

No. 5
A plane-wave DFT calculation with PBE+U was carried out for Li7Mn4CoO12 after structural relaxation.

Values from the calculation:
Energy of formation: -4680 kJ/mol of formula units

Cell: 8.687 2.866 9.727 Å, 90.00 115.76 90.00°
Space group Pm (No. 6)
One atom of each set of equivalent atoms:
Li 0.000 0.000 0.000
Li 0.003 0.500 0.498
Li 0.338 0.000 0.675
Li 0.365 0.500 0.164
Li 0.508 0.000 0.999
Li 0.642 0.500 0.840
Li 0.676 0.000 0.328
Mn 0.157 0.000 0.326
Mn 0.193 0.500 0.840
Mn 0.503 0.500 0.499
Mn 0.847 0.000 0.672
Co 0.818 0.500 0.162
O 0.066 0.500 0.173
O 0.107 0.000 0.687
O 0.235 0.500 0.477
O 0.250 0.000 0.988
O 0.401 0.500 0.833
O 0.431 0.000 0.344
O 0.576 0.000 0.654
O 0.613 0.500 0.166
O 0.761 0.000 0.017
O 0.772 0.500 0.521
O 0.900 0.000 0.309
O 0.940 0.500 0.825

No. 6
A plane-wave DFT calculation with PBE+U was carried out for Li7Mn2Co3O12 after structural relaxation.

Values from the calculation:
Energy of formation: -4311 kJ/mol of formula units

Cell: 2.950 7.774 10.155 Å, 110.35 91.20 98.11°
Space group P1 (No. 1)
One atom of each set of equivalent atoms:
Li 0.000 0.000 0.000
Li 0.010 0.009 0.518
Li 0.330 0.667 0.344
Li 0.345 0.681 0.844
Li 0.485 0.999 0.768
Li 0.649 0.333 0.686
Li 0.667 0.336 0.173
Mn 0.171 0.335 0.428
Mn 0.845 0.681 0.600
Co 0.159 0.323 0.921
Co 0.500 0.998 0.260
Co 0.828 0.665 0.087
O 0.083 0.161 0.229
O 0.096 0.193 0.740
O 0.248 0.498 0.117
O 0.285 0.521 0.625
O 0.395 0.819 0.559
O 0.407 0.831 0.058
O 0.552 0.173 0.469
O 0.560 0.185 0.968
O 0.782 0.496 0.895
O 0.792 0.503 0.396
O 0.904 0.822 0.788
O 0.905 0.838 0.294

No. 7
A plane-wave DFT calculation with PBE+U was carried out for Li7Mn4CoO12 after structural relaxation.

Values from the calculation:
Energy of formation: -4651 kJ/mol of formula units

Cell: 5.300 2.866 14.594 Å, 90.00 92.10 90.00°
Space group Pm (No. 6)
One atom of each set of equivalent atoms:
Li 0.000 0.000 0.000
Li 0.001 0.000 0.498
Li 0.156 0.500 0.844
Li 0.343 0.000 0.159
Li 0.502 0.500 0.500
Li 0.657 0.000 0.841
Li 0.844 0.500 0.154
Mn 0.329 0.000 0.666
Mn 0.499 0.500 0.000
Mn 0.670 0.000 0.333
Mn 0.830 0.500 0.667
Co 0.170 0.500 0.331
O 0.018 0.000 0.260
O 0.188 0.500 0.587
O 0.204 0.500 0.076
O 0.316 0.000 0.406
O 0.348 0.000 0.925
O 0.475 0.500 0.742
O 0.520 0.500 0.258
O 0.651 0.000 0.076
O 0.689 0.000 0.588
O 0.793 0.500 0.925
O 0.816 0.500 0.410
O 0.977 0.000 0.744

No. 8
A plane-wave DFT calculation with PBE+U was carried out for Li7Mn4CoO12 after structural relaxation.

Values from the calculation:
Energy of formation: -4674 kJ/mol of formula units

Cell: 3.013 8.153 9.921 Å, 65.98 85.35 89.03°
Space group P1 (No. 1)
One atom of each set of equivalent atoms:
Li 0.000 0.000 0.000
Li 0.003 0.655 0.668
Li 0.008 0.486 0.008
Li 0.485 0.818 0.832
Li 0.490 0.181 0.158
Li 0.506 0.492 0.508
Li 0.981 0.334 0.320
Mn 0.489 0.657 0.158
Mn 0.490 0.997 0.500
Mn 0.984 0.834 0.326
Mn 0.997 0.165 0.670
Co 0.506 0.337 0.840
O 0.019 0.735 0.019
O 0.021 0.254 0.984
O 0.028 0.922 0.667
O 0.458 0.898 0.170
O 0.464 0.234 0.507
O 0.489 0.556 0.828
O 0.500 0.429 0.166
O 0.521 0.759 0.491
O 0.522 0.104 0.829
O 0.960 0.069 0.337
O 0.961 0.598 0.309
O 0.973 0.402 0.671

No. 9
A plane-wave DFT calculation with PBE+U was carried out for Li7Mn4CoO12 after structural relaxation.

Values from the calculation:
Energy of formation: -4612 kJ/mol of formula units

Cell: 29.086 2.885 5.349 Å, 90.00 97.23 90.00°
Space group C2/m (No. 12)
One atom of each set of equivalent atoms:
Li 0.000 0.000 0.000
Li 0.079 0.000 0.732
Li 0.081 0.500 0.246
Li 0.250 0.000 0.248
Mn 0.164 0.500 0.996
Mn 0.166 0.000 0.497
Co 0.000 0.500 0.500
O 0.034 0.500 0.807
O 0.037 0.000 0.389
O 0.125 0.000 0.098
O 0.127 0.500 0.598
O 0.204 0.000 0.897
O 0.205 0.500 0.393

No. 10
A plane-wave DFT calculation with PBE+U was carried out for Li4MnCo2O7 after structural relaxation.

Values from the calculation:
Energy of formation: -2477 kJ/mol of formula units

Cell: 2.986 6.451 13.633 Å, 83.34 86.16 76.77°
Space group P1 (No. 1)
One atom of each set of equivalent atoms:
Li 0.000 0.000 0.000
Li 0.038 0.494 0.494
Li 0.136 0.433 0.294
Li 0.298 0.856 0.572
Li 0.436 0.293 0.856
Li 0.582 0.717 0.142
Li 0.714 0.161 0.429
Li 0.883 0.560 0.714
Mn 0.155 0.931 0.785
Mn 0.447 0.781 0.361
Co 0.278 0.360 0.069
Co 0.602 0.227 0.636
Co 0.704 0.644 0.930
Co 0.854 0.089 0.216
O 0.107 0.668 0.033
O 0.198 0.180 0.546
O 0.309 0.097 0.318
O 0.309 0.623 0.827
O 0.413 0.054 0.112
O 0.458 0.505 0.614
O 0.553 0.950 0.893
O 0.579 0.489 0.389
O 0.723 0.387 0.173
O 0.751 0.917 0.679
O 0.829 0.341 0.967
O 0.901 0.821 0.450
O 0.985 0.771 0.262
O 0.999 0.236 0.747

No. 11
A plane-wave DFT calculation with PBE+U was carried out for LiMnCo3O8 after structural relaxation.

Values from the calculation:
Energy of formation: -1830 kJ/mol of formula units

Cell: 5.675 6.003 8.327 Å, 85.99 89.99 89.93°
Space group P-1 (No. 2)
One atom of each set of equivalent atoms:
Li 0.000 0.000 0.000
Li 0.500 0.500 0.500
Mn 0.000 0.000 0.500
Mn 0.500 0.500 0.000
Co 0.000 0.500 0.000
Co 0.249 0.252 0.254
Co 0.249 0.748 0.747
Co 0.500 0.000 0.500
O 0.000 0.036 0.266
O 0.001 0.548 0.753
O 0.247 0.284 0.025
O 0.248 0.718 0.975
O 0.253 0.217 0.480
O 0.254 0.783 0.520
O 0.500 0.047 0.270
O 0.500 0.465 0.236

No. 12
A plane-wave DFT calculation with PBE+U was carried out for Li7Mn2Co3O12 after structural relaxation.

Values from the calculation:
Energy of formation: -4322 kJ/mol of formula units

Cell: 29.452 2.922 5.088 Å, 90.00 98.86 90.00°
Space group Cm (No. 8)
One atom of each set of equivalent atoms:
Li 0.000 0.000 0.000
Li 0.001 0.500 0.506
Li 0.167 0.500 0.341
Li 0.170 0.000 0.828
Li 0.248 0.500 0.755
Li 0.324 0.000 0.676
Li 0.328 0.500 0.166
Mn 0.248 0.000 0.254
Mn 0.415 0.000 0.087
Co 0.082 0.000 0.419
Co 0.082 0.500 0.920
Co 0.415 0.500 0.587
O 0.042 0.000 0.700
O 0.043 0.500 0.202
O 0.119 0.000 0.138
O 0.120 0.500 0.641
O 0.210 0.000 0.522
O 0.212 0.500 0.070
O 0.286 0.500 0.442
O 0.288 0.000 0.986
O 0.378 0.500 0.913
O 0.380 0.000 0.376
O 0.452 0.000 0.799
O 0.453 0.500 0.261

In the order shown, the computed uncorrected energy values come out to -0.2162; -0.2167; -0.2218; -0.2162; -0.2273; -0.2153; -0.2268; -0.2272; -0.2262; -0.2141; -0.2230; -0.2154 Ha/atom.
In the order shown, the computed energy relative to the lowest polymorph listed for this composition values come out to 0.045; 0.031; 0.003; 0.046; 0.063; 0.072; 0.076; 0.066; 0.092; 0.051; 0.010; 0.067 eV per atom.